Bi4O7 after structural relaxation. Source: the Materials Project, functional r2SCAN.

* spin magnetization: 0.00 μB/f.u.
* calculated formation energy: -1.225 eV per atom
* space-group type: No. 2

Cell: 6.746 6.945 7.822 Å, 72.80 88.99 77.30°
Fractional coordinates of all 22 atoms:
1 Bi 0.000 0.000 0.500
2 Bi 0.523 0.993 0.743
3 Bi 0.477 0.007 0.257
4 Bi 0.000 0.000 0.000
5 Bi 0.735 0.518 0.117
6 Bi 0.265 0.482 0.883
7 Bi 0.271 0.511 0.379
8 Bi 0.729 0.489 0.621
9 O 0.528 0.626 0.813
10 O 0.472 0.374 0.187
11 O 0.709 0.954 0.059
12 O 0.291 0.046 0.941
13 O 0.715 0.924 0.479
14 O 0.285 0.076 0.521
15 O 0.473 0.342 0.635
16 O 0.527 0.658 0.365
17 O 0.094 0.678 0.036
18 O 0.906 0.322 0.964
19 O 0.892 0.320 0.371
20 O 0.108 0.680 0.629
21 O 0.113 0.910 0.273
22 O 0.887 0.090 0.727